Rb3Tm2Cu4Br13: optimized geometry, PBE.

a b c (Å): 11.1035 11.1035 11.1035
angles (deg): 90.00 90.00 90.00
Space group Pn-3 (No. 201, origin choice 2)
Unique sites:
Rb: 0.2500 0.2500 0.7500 x6
Tm: 0.0000 0.0000 0.0000 x4
Cu: 0.1221 0.1221 0.3779 x8
Br: 0.0148 0.2487 0.9745 x24
Br: 0.2500 0.2500 0.2500 x2

Energy of formation = -1.60 eV per atom

CsCd13: optimized geometry, PBE.

a b c (Å): 14.2088 14.2088 14.2088
angles (deg): 90.00 90.00 90.00
Space group Fm-3c (No. 226)
Unique sites:
Cs: 0.2500 0.2500 0.2500 x8
Cd: 0.0000 0.0000 0.0000 x8
Cd: 0.0000 0.1210 0.1798 x96

Energy of formation = -0.04 eV per atom

The lowest energy of formation belongs to which entry? Rb3Tm2Cu4Br13